# SmEuZn2

A relaxed structure of SmEuZn2 (PBE, Materials Project).

Unit cell a=5.245 b=5.245 c=5.245 alpha=60.00 beta=60.00 gamma=60.00
Element x y z (fractional)
Sm 0.000 0.000 0.000
Eu 0.500 0.500 0.500
Zn 0.250 0.250 0.250
Zn 0.750 0.750 0.750

Output
Theoretical density = 7050 kg/m3
Space group = Fm-3m
ΔE_f = -1.144 eV/f.u.